1.
Entry from the Materials Project: crystalline LiCuPO4 at its relaxed geometry (PBE-GGA).

The structure in POSCAR format:
```
LiCuPO4
1.0
-4.924 0.916 0.717
-1.276 -6.713 -0.187
1.358 -0.537 10.006
Li Cu P O
4 4 4 16
direct
0.242 0.012 0.647
0.742 0.512 0.853
0.242 0.488 0.147
0.742 0.988 0.353
0.248 0.509 0.667
0.748 0.009 0.833
0.248 0.991 0.167
0.748 0.491 0.333
0.751 0.267 0.594
0.251 0.767 0.906
0.751 0.233 0.094
0.251 0.733 0.406
0.195 0.743 0.557
0.052 0.265 0.623
0.624 0.078 0.653
0.634 0.452 0.661
0.134 0.952 0.839
0.124 0.578 0.847
0.552 0.765 0.877
0.695 0.243 0.943
0.195 0.757 0.057
0.052 0.235 0.123
0.624 0.422 0.153
0.634 0.048 0.161
0.134 0.548 0.339
0.124 0.922 0.347
0.552 0.735 0.377
0.695 0.257 0.443
```

Its energy of formation from the pure elements is -2.18 eV per atom. The value obtained for the calculated volume is 12.49 A^3/atom. Its space-group type is Pna2_1 (33). Its relative energy among the computed polymorphs is 0.13 eV/f.u.

2.
Entry from the Materials Project: crystalline AuCl4O3 at its relaxed geometry (PBE-GGA).

The structure in POSCAR format:
```
AuCl4O3
1.0
11.466 0.000 0.000
0.000 8.217 0.000
0.000 6.490 9.416
Au Cl O
4 16 12
direct
0.516 0.256 0.992
0.016 0.744 0.508
0.484 0.744 0.008
0.984 0.256 0.492
0.617 0.231 0.178
0.117 0.769 0.322
0.383 0.769 0.822
0.883 0.231 0.678
0.355 0.126 0.135
0.855 0.874 0.365
0.645 0.874 0.865
0.145 0.126 0.635
0.692 0.375 0.877
0.192 0.625 0.623
0.308 0.625 0.123
0.808 0.375 0.377
0.422 0.286 0.802
0.922 0.714 0.698
0.578 0.714 0.198
0.078 0.286 0.302
0.391 0.518 0.387
0.891 0.482 0.113
0.609 0.482 0.613
0.109 0.518 0.887
0.093 0.328 0.968
0.593 0.672 0.532
0.907 0.672 0.032
0.407 0.328 0.468
0.411 0.231 0.411
0.911 0.769 0.089
0.589 0.769 0.589
0.089 0.231 0.911
```

Its energy of formation from the pure elements is 0.12 eV per atom. The value obtained for the calculated volume is 27.72 A^3/atom. Its space-group type is P2_1/c (14).

3.
Entry from the Materials Project: crystalline SmGd3Al4O12 at its relaxed geometry (PBE-GGA).

The structure in POSCAR format:
```
SmGd3Al4O12
1.0
-2.938 0.622 -6.892
3.030 -4.003 -1.653
-3.861 -3.485 1.331
Sm Gd Al O
1 3 4 12
direct
0.500 0.491 0.541
0.500 0.009 0.043
0.000 0.509 0.456
0.000 0.991 0.957
0.249 0.500 0.000
0.751 0.000 0.500
0.751 0.500 0.000
0.249 0.000 0.500
0.500 0.574 0.986
0.500 0.930 0.483
0.000 0.426 0.016
0.000 0.074 0.518
0.289 0.212 0.789
0.713 0.287 0.288
0.789 0.788 0.212
0.211 0.711 0.711
0.211 0.788 0.212
0.789 0.711 0.711
0.711 0.212 0.789
0.287 0.287 0.288
```

Its energy of formation from the pure elements is -3.69 eV per atom. The value obtained for the calculated volume is 10.67 A^3/atom. Its space-group type is Pm (6).

4.
Entry from the Materials Project: crystalline LiAs at its relaxed geometry (PBE-GGA).

The structure in POSCAR format:
```
LiAs
1.0
5.281 0.000 0.000
0.000 5.825 0.000
0.000 5.053 9.518
Li As
8 8
direct
0.167 0.229 0.448
0.667 0.771 0.052
0.833 0.771 0.552
0.333 0.229 0.948
0.915 0.236 0.171
0.415 0.764 0.329
0.085 0.764 0.829
0.585 0.236 0.671
0.666 0.286 0.401
0.166 0.714 0.099
0.334 0.714 0.599
0.834 0.286 0.901
0.422 0.302 0.199
0.922 0.698 0.301
0.578 0.698 0.801
0.078 0.302 0.699
```

Its energy of formation from the pure elements is -0.49 eV per atom. The value obtained for the calculated volume is 18.30 A^3/atom. Its space-group type is P2_1/c (14).

5.
Entry from the Materials Project: crystalline KLiMnS2 at its relaxed geometry (PBE-GGA).

The structure in POSCAR format:
```
KLiMnS2
1.0
-2.031 2.031 6.646
2.031 -2.031 6.646
2.031 2.031 -6.646
K Li Mn S
1 1 1 2
direct
0.000 0.000 0.000
0.750 0.250 0.500
0.250 0.750 0.500
0.649 0.649 0.000
0.351 0.351 0.000
```

Its energy of formation from the pure elements is -1.24 eV per atom. The maximum piezoelectric response comes out at 0.144 C/m2. The value obtained for the calculated volume is 21.94 A^3/atom. Its space-group type is I-4m2 (119).

6.
Entry from the Materials Project: crystalline KRb2ScCl6 at its relaxed geometry (PBE-GGA).

The structure in POSCAR format:
```
KRb2ScCl6
1.0
0.000 5.489 5.489
5.489 0.000 5.489
5.489 5.489 0.000
K Rb Sc Cl
1 2 1 6
direct
0.500 0.500 0.500
0.750 0.750 0.750
0.250 0.250 0.250
0.000 0.000 0.000
0.772 0.228 0.228
0.228 0.228 0.772
0.228 0.772 0.772
0.228 0.772 0.228
0.772 0.228 0.772
0.772 0.772 0.228
```

Its energy of formation from the pure elements is -2.41 eV per atom. The value obtained for the calculated volume is 33.08 A^3/atom. Its space-group type is Fm-3m (225).